Below is an optimized crystal structure of LiNb2Te4Cl10O, with properties calculated at the PBE-GGA level.

```
LiNb2Te4Cl10O
1.0
7.399 0.000 0.000
2.078 8.061 0.000
0.027 1.158 9.486
Li Nb Te Cl O
1 2 4 10 1
direct
0.000 0.000 0.000
0.078 0.189 0.577
0.109 0.476 0.856
0.443 0.917 0.049
0.507 0.627 0.233
0.674 0.037 0.214
0.765 0.731 0.382
0.044 0.997 0.412
0.122 0.683 0.037
0.193 0.361 0.407
0.246 0.637 0.694
0.377 0.023 0.643
0.420 0.321 0.945
0.762 0.358 0.513
0.801 0.632 0.809
0.927 0.031 0.754
0.996 0.294 0.040
0.095 0.330 0.724
```

Properties
Raw total energy in eV for the cell shown: -77.2
ΔH_f (0 K) in eV/atom: -1.096
Total moment in μB/atom: 0.056